A relaxed structure of ZnH6Se2O8, computed with PBE.

- formation enthalpy at 0 K (meV/atom) = -1315
- mass density (g cm⁻³) = 3.13
- raw total energy (eV/atom) = -5.003
- M_tot (μB per cell) = 0.00
- space-group type = No. 14

Cell: 7.236 6.994 8.546 Å, 90.00 118.86 90.00°
Fractional positions:
Zn  0.000  0.000  0.000
Zn  0.000  0.500  0.500
H  0.111  0.212  0.376
H  0.111  0.288  0.876
H  0.205  0.162  0.583
H  0.205  0.338  0.083
H  0.499  0.022  0.237
H  0.499  0.478  0.737
H  0.501  0.522  0.263
H  0.501  0.978  0.763
H  0.795  0.662  0.917
H  0.795  0.838  0.417
H  0.889  0.712  0.124
H  0.889  0.788  0.624
Se  0.325  0.729  0.375
Se  0.325  0.771  0.875
Se  0.675  0.229  0.125
Se  0.675  0.271  0.625
O  0.078  0.667  0.334
O  0.078  0.833  0.834
O  0.192  0.234  0.000
O  0.192  0.266  0.500
O  0.281  0.577  0.740
O  0.281  0.923  0.240
O  0.351  0.539  0.239
O  0.351  0.961  0.739
O  0.649  0.039  0.261
O  0.649  0.461  0.761
O  0.719  0.077  0.760
O  0.719  0.423  0.260
O  0.808  0.734  0.500
O  0.808  0.766  0.000
O  0.922  0.167  0.166
O  0.922  0.333  0.666